This record from the Materials Project database describes an optimized crystal structure of Li2CrSi4O11. The functional is PBE with a Hubbard U.

abc: 7.186 7.186 8.213
angles: 98.88 98.88 83.38
Sites, in units of the cell vectors:
1 Li 0.078 0.922 0.750
2 Li 0.349 0.651 0.750
3 Li 0.651 0.349 0.250
4 Li 0.922 0.078 0.250
5 Cr 0.000 0.500 0.500
6 Cr 0.500 0.000 0.000
7 Si 0.161 0.748 0.063
8 Si 0.224 0.342 0.162
9 Si 0.252 0.839 0.437
10 Si 0.342 0.224 0.662
11 Si 0.658 0.776 0.338
12 Si 0.748 0.161 0.563
13 Si 0.776 0.658 0.838
14 Si 0.839 0.252 0.937
15 O 0.055 0.244 0.034
16 O 0.134 0.866 0.250
17 O 0.149 0.731 0.552
18 O 0.153 0.394 0.342
19 O 0.199 0.415 0.676
20 O 0.244 0.055 0.534
21 O 0.260 0.536 0.090
22 O 0.269 0.851 0.948
23 O 0.394 0.153 0.842
24 O 0.415 0.199 0.176
25 O 0.464 0.740 0.410
26 O 0.536 0.260 0.590
27 O 0.585 0.801 0.824
28 O 0.606 0.847 0.158
29 O 0.731 0.149 0.052
30 O 0.740 0.464 0.910
31 O 0.756 0.945 0.466
32 O 0.801 0.585 0.324
33 O 0.847 0.606 0.658
34 O 0.851 0.269 0.448
35 O 0.866 0.134 0.750
36 O 0.945 0.756 0.966

Output
As for the energy relative to the lowest polymorph listed for this composition: 2.0 kJ per mole of atoms. As for the magnetization: 2.0 μB/f.u. The calculation puts the formation energy at -2861 meV per atom.